Entry 1:
! Pm2CuGe | Materials Project | PBE | optimized geometry; values from VASP
&SYSTEM
  ibrav = 0, nat = 4, ntyp = 3
/
ATOMIC_SPECIES
Pm 145.00 Pm.upf
Ge 72.64 Ge.upf
Cu 63.55 Cu.upf
ATOMIC_POSITIONS angstrom
Pm 5.412 5.412 5.412
Pm 1.804 1.804 1.804
Ge 0.000 0.000 0.000
Cu 3.608 3.608 3.608
CELL_PARAMETERS angstrom
0.000 3.608 3.608
3.608 0.000 3.608
3.608 3.608 0.000
! Energy of formation from the pure elements   -0.47 eV/atom
! Calculated volume   23.5 Å³/atom

Entry 2:
! BaLaI5 | Materials Project | PBE | optimized geometry; values from VASP
&SYSTEM
  ibrav = 0, nat = 28, ntyp = 3
/
ATOMIC_SPECIES
I 126.90 I.upf
Ba 137.33 Ba.upf
La 138.91 La.upf
ATOMIC_POSITIONS angstrom
I 3.272 3.634 9.758
I 0.545 3.089 2.308
I 10.551 5.627 1.421
I 7.408 6.433 5.089
I 0.129 2.829 6.090
I 7.519 2.253 4.719
I 0.240 7.009 6.460
I 10.512 1.632 0.827
I 11.024 8.221 4.543
I 7.331 1.980 9.174
I 3.234 7.629 10.352
I 3.745 1.040 6.637
I 0.053 7.281 2.005
I 6.407 4.846 1.384
I 4.230 1.373 2.419
I 10.650 3.497 6.965
I 3.372 5.764 4.214
I 11.509 7.888 8.760
I 13.686 4.416 9.795
I 7.824 6.173 8.872
Ba 0.617 1.270 9.116
Ba 5.497 4.057 6.955
Ba 7.896 7.991 2.063
Ba 12.776 5.204 4.224
La 10.639 4.915 9.870
La 3.360 4.347 1.309
La 8.950 8.606 6.905
La 1.672 0.656 4.275
CELL_PARAMETERS angstrom
14.558 0.000 0.000
0.000 8.207 0.000
0.000 1.055 11.179
! Energy of formation from the pure elements   -1.86 eV/atom
! Calculated volume   47.7 Å³/atom
! Energy relative to the lowest polymorph listed for this composition   0.042 eV/atom

Entry 3:
! Eu2Ni3Sb4 | Materials Project | PBE | optimized geometry; values from VASP
&SYSTEM
  ibrav = 0, nat = 9, ntyp = 3
/
ATOMIC_SPECIES
Sb 121.76 Sb.upf
Eu 151.96 Eu.upf
Ni 58.69 Ni.upf
ATOMIC_POSITIONS angstrom
Sb 2.185 0.000 4.040
Sb 0.000 2.185 6.531
Sb 2.185 0.000 1.111
Sb 0.000 2.185 9.460
Eu 0.000 2.185 2.594
Eu 2.185 0.000 7.977
Ni 0.000 0.000 0.000
Ni 0.000 0.000 5.285
Ni 2.185 2.185 5.285
CELL_PARAMETERS angstrom
4.371 0.000 0.000
0.000 4.371 0.000
0.000 0.000 10.571
! Energy of formation from the pure elements   -0.67 eV/atom
! Calculated volume   22.4 Å³/atom

Q: What is the formula in the second record?
A: BaLaI5

Q: Which of these has the highest calculated volume?
A: BaLaI5

Q: What is the formula in the first record?
A: Pm2CuGe

Q: Which of these has the highest calculated volume?
A: BaLaI5